Below is a relaxed SeO2F2 crystal, with properties calculated at the PBE level. Values from VASP.

Properties
ΔE_f = -1.40 eV per atom
Energy with MP2020 corrections = -4.843 eV per atom
V = 20.08 Å³ per atom
SG = P4_12_12
E_tot = -4.384 eV per atom

Geometry as Quantum ESPRESSO input:
```
&SYSTEM
  ibrav = 0, nat = 20, ntyp = 3
/
ATOMIC_SPECIES
Se 78.96 Se.upf
O 16.00 O.upf
F 19.00 F.upf
ATOMIC_POSITIONS angstrom
Se 0.545 0.545 0.000
Se 2.371 3.461 2.953
Se 3.461 2.371 8.858
Se 5.286 5.286 5.906
O 0.178 1.927 11.080
O 0.989 3.094 2.222
O 1.927 0.178 0.731
O 2.738 4.843 3.684
O 3.094 0.989 9.589
O 3.904 5.654 6.637
O 4.843 2.738 8.128
O 5.654 3.904 5.175
F 0.174 5.084 10.693
F 0.747 5.658 7.024
F 2.169 2.742 7.741
F 2.742 2.169 4.071
F 3.089 3.663 9.976
F 3.663 3.089 1.835
F 5.084 0.174 1.118
F 5.658 0.747 4.788
CELL_PARAMETERS angstrom
5.832 0.000 0.000
0.000 5.832 0.000
0.000 0.000 11.811
```

Below is a relaxed ThUS2 crystal, with properties calculated at the PBE level. Values from VASP.

Properties
ΔE_f = -1.83 eV per atom
Energy with MP2020 corrections = -8.570 eV per atom
V = 22.08 Å³ per atom
SG = P4/mmm
Excess energy over the best structure of this formula in the dataset = 0.022 eV/atom
E_tot = -8.319 eV per atom

Geometry as Quantum ESPRESSO input:
```
&SYSTEM
  ibrav = 0, nat = 4, ntyp = 3
/
ATOMIC_SPECIES
Th 232.04 Th.upf
U 238.03 U.upf
S 32.06 S.upf
ATOMIC_POSITIONS angstrom
Th 0.000 0.000 0.000
U 1.983 1.983 2.808
S 0.000 0.000 2.808
S 1.983 1.983 0.000
CELL_PARAMETERS angstrom
3.966 0.000 0.000
0.000 3.966 0.000
0.000 0.000 5.616
```

Below is a relaxed MgSi2 crystal, with properties calculated at the PBE level. Values from VASP.

Properties
ΔE_f = 0.27 eV per atom
Energy with MP2020 corrections = -3.876 eV per atom
Spin magnetization = 0.0 μB per cell
V = 16.78 Å³ per atom
SG = P2/m
Excess energy over the best structure of this formula in the dataset = 0.197 eV/atom
E_tot = -3.923 eV per atom

Geometry as Quantum ESPRESSO input:
```
&SYSTEM
  ibrav = 0, nat = 12, ntyp = 2
/
ATOMIC_SPECIES
Mg 24.30 Mg.upf
Si 28.09 Si.upf
ATOMIC_POSITIONS angstrom
Mg 0.072 0.000 3.223
Mg 1.079 1.856 7.875
Mg 4.307 1.856 1.464
Mg 5.313 0.000 6.116
Si 0.000 0.000 0.000
Si 1.399 1.856 1.358
Si 1.544 1.856 5.085
Si 2.756 0.000 2.842
Si 2.904 0.000 0.000
Si 2.629 0.000 6.498
Si 3.841 1.856 4.254
Si 3.986 1.856 7.982
CELL_PARAMETERS angstrom
5.808 0.000 0.000
0.000 3.712 0.000
-0.423 0.000 9.340
```

Below is a relaxed CeNiSn crystal, with properties calculated at the PBE level. Values from VASP.

Properties
ΔE_f = -0.54 eV per atom
Spin magnetization = 0.0 μB per cell
V = 22.26 Å³ per atom
SG = P6_3/mmc
E_tot = -5.784 eV per atom

Geometry as Quantum ESPRESSO input:
```
&SYSTEM
  ibrav = 0, nat = 6, ntyp = 3
/
ATOMIC_SPECIES
Ce 140.12 Ce.upf
Ni 58.69 Ni.upf
Sn 118.71 Sn.upf
ATOMIC_POSITIONS angstrom
Ce 0.000 0.000 0.000
Ce 0.000 0.000 3.881
Ni 0.000 2.573 1.941
Ni 2.229 1.287 5.822
Sn 0.000 2.573 5.822
Sn 2.229 1.287 1.941
CELL_PARAMETERS angstrom
4.457 0.000 0.000
-2.229 3.860 0.000
0.000 0.000 7.763
```

Below is a relaxed Ca2SnS4 crystal, with properties calculated at the PBE level. Values from VASP.

Properties
ΔE_f = -1.57 eV per atom
Energy with MP2020 corrections = -5.080 eV per atom
Spin magnetization = 0.0 μB per cell
V = 25.99 Å³ per atom
SG = P2_1/c
Excess energy over the best structure of this formula in the dataset = 0.109 eV/atom
E_tot = -4.792 eV per atom

Geometry as Quantum ESPRESSO input:
```
&SYSTEM
  ibrav = 0, nat = 28, ntyp = 3
/
ATOMIC_SPECIES
Ca 40.08 Ca.upf
Sn 118.71 Sn.upf
S 32.06 S.upf
ATOMIC_POSITIONS angstrom
Ca 1.284 1.768 0.353
Ca -0.907 1.811 7.828
Ca -1.668 1.209 11.701
Ca 0.524 2.369 4.226
Ca 1.894 4.788 10.723
Ca 4.086 5.948 3.248
Ca 3.325 5.346 7.122
Ca 1.133 5.390 14.597
Sn -2.223 5.263 13.537
Sn -0.032 5.473 6.062
Sn 2.449 1.685 8.888
Sn 4.641 1.894 1.413
S -1.578 0.101 5.562
S -3.770 3.478 13.037
S -1.581 3.640 5.677
S -3.773 7.096 13.152
S 2.927 5.129 0.838
S 0.735 5.607 8.313
S 1.853 4.907 4.684
S -0.339 5.829 12.159
S 2.756 1.329 2.791
S 0.565 2.250 10.265
S 1.683 1.550 6.636
S -0.509 2.029 14.111
S 6.191 0.062 1.798
S 3.999 3.517 9.273
S 6.187 3.679 1.912
S 3.996 7.057 9.387
CELL_PARAMETERS angstrom
6.802 0.000 0.000
0.000 7.157 0.000
-4.384 0.000 14.950
```

Below is a relaxed TaAu crystal, with properties calculated at the PBE level. Values from VASP.

Properties
ΔE_f = -0.02 eV per atom
V = 17.77 Å³ per atom
SG = P4/mmm
E_tot = -7.586 eV per atom

Geometry as Quantum ESPRESSO input:
```
&SYSTEM
  ibrav = 0, nat = 2, ntyp = 2
/
ATOMIC_SPECIES
Ta 180.95 Ta.upf
Au 196.97 Au.upf
ATOMIC_POSITIONS angstrom
Ta 0.000 0.000 0.000
Au 1.464 1.464 2.072
CELL_PARAMETERS angstrom
2.928 0.000 0.000
0.000 2.928 0.000
0.000 0.000 4.145
```

Below is a relaxed NaNb2S4 crystal, with properties calculated at the PBE level. Values from VASP.

Properties
ΔE_f = -1.41 eV per atom
Energy with MP2020 corrections = -6.852 eV per atom
Spin magnetization = 0.0 μB per cell
V = 20.60 Å³ per atom
SG = P3m1
E_tot = -6.565 eV per atom

Geometry as Quantum ESPRESSO input:
```
&SYSTEM
  ibrav = 0, nat = 7, ntyp = 3
/
ATOMIC_SPECIES
Na 22.99 Na.upf
Nb 92.91 Nb.upf
S 32.06 S.upf
ATOMIC_POSITIONS angstrom
Na 0.000 0.000 0.000
Nb 0.000 0.000 10.706
Nb 1.705 0.984 3.595
S 0.000 1.969 2.013
S 0.000 1.969 5.117
S 0.000 1.969 9.183
S 0.000 1.969 12.288
CELL_PARAMETERS angstrom
3.410 0.000 0.000
-1.705 2.953 0.000
0.000 0.000 14.320
```

Below is a relaxed K3In2As3 crystal, with properties calculated at the PBE level. Values from VASP.

Properties
ΔE_f = -0.43 eV per atom
V = 32.70 Å³ per atom
SG = Cmce
E_tot = -3.286 eV per atom

Geometry as Quantum ESPRESSO input:
```
&SYSTEM
  ibrav = 0, nat = 32, ntyp = 3
/
ATOMIC_SPECIES
K 39.10 K.upf
In 114.82 In.upf
As 74.92 As.upf
ATOMIC_POSITIONS angstrom
K 6.866 1.878 2.655
K 6.866 1.573 10.205
K 10.042 2.407 13.022
K 10.042 1.043 5.472
K 13.218 1.878 2.655
K 13.218 1.573 10.205
K 6.866 -1.573 4.894
K 6.866 -1.878 12.444
K 10.042 -1.043 9.627
K 10.042 -2.407 2.077
K 13.218 -1.573 4.894
K 13.218 -1.878 12.444
In 1.676 0.000 7.550
In 4.794 0.000 0.000
In 5.248 0.000 7.550
In 8.366 0.000 0.000
In 11.718 0.000 0.000
In 14.836 0.000 7.550
In 15.290 0.000 0.000
In 18.408 0.000 7.550
As 6.538 1.897 6.073
As 6.538 1.553 13.623
As 10.042 2.333 9.339
As 10.042 1.117 1.790
As 13.546 1.897 6.073
As 13.546 1.553 13.623
As 6.538 -1.553 1.477
As 6.538 -1.897 9.026
As 10.042 -1.117 13.310
As 10.042 -2.333 5.760
As 13.546 -1.553 1.477
As 13.546 -1.897 9.026
CELL_PARAMETERS angstrom
10.042 -3.450 0.000
10.042 3.450 0.000
0.000 0.000 15.099
```